Version 1
The following is a DFT calculation (GGA+U) of a relaxed structure of Li4Fe5Sn3O16.

Crystal system = monoclinic
Calculated volume = 314.7 Å³ per cell
Total magnetic moment = 0.857 μB/atom
SG = Cm (8)

Unit cell a=6.1249 b=6.1249 c=9.6842 alpha=90.57 beta=90.57 gamma=60.04
Closest atoms and distances in Å follow each position.
Fractional coordinates of all 28 atoms:
1 Li 0.0000 0.0000 0.0000  2 O 1.80-1.94
2 Li 0.0025 0.0025 0.4916  3 O 1.78-1.97
3 Li 0.3235 0.3235 0.3865  4 O 2.02-2.06
4 Li 0.6586 0.6586 0.8948  4 O 2.00-2.04
5 Fe 0.1625 0.1625 0.7154  6 O 2.02-2.09
6 Fe 0.3218 0.3218 0.9948  6 O 2.04-2.20
7 Fe 0.3326 0.8221 0.2141  6 O 2.01-2.09
8 Fe 0.6541 0.6541 0.4860  6 O 2.08-2.13
9 Fe 0.8221 0.3326 0.2141  6 O 2.01-2.09
10 Sn 0.1619 0.6538 0.7130  6 O 2.06-2.11
11 Sn 0.6538 0.1619 0.7130  6 O 2.06-2.11
12 Sn 0.8220 0.8220 0.2119  6 O 2.06-2.12
13 O 0.0310 0.4698 0.8419  2 Fe 2.04-2.13, 1 Li 2.04, 1 Sn 2.10
14 O 0.1582 0.1582 0.1027  1 Li 1.94, 3 Fe 2.04-2.09
15 O 0.1595 0.6645 0.0959  1 Li 2.01, 2 Fe 2.06-2.08, 1 Sn 2.12
16 O 0.3208 0.8307 0.5977  1 Li 1.97, 2 Fe 2.08-2.09, 1 Sn 2.11
17 O 0.3216 0.3216 0.5965  1 Li 2.03, 1 Fe 2.05, 2 Sn 2.09
18 O 0.4698 0.0310 0.8419  2 Fe 2.04-2.13, 1 Li 2.04, 1 Sn 2.10
19 O 0.4752 0.4752 0.8439  1 Li 2.00, 2 Sn 2.09, 1 Fe 2.20
20 O 0.5069 0.9519 0.3420  1 Li 2.02, 2 Fe 2.03-2.11, 1 Sn 2.11
21 O 0.5117 0.5117 0.3365  3 Fe 2.04-2.08, 1 Li 2.06
22 O 0.6535 0.6535 0.1008  1 Li 2.00, 2 Fe 2.03, 1 Sn 2.08
23 O 0.6645 0.1595 0.0959  1 Li 2.01, 2 Fe 2.06-2.08, 1 Sn 2.12
24 O 0.8307 0.3208 0.5977  1 Li 1.97, 2 Fe 2.08-2.09, 1 Sn 2.11
25 O 0.8306 0.8306 0.5923  1 Li 2.08, 2 Sn 2.11, 1 Fe 2.13
26 O 0.9519 0.5069 0.3420  1 Li 2.02, 2 Fe 2.03-2.11, 1 Sn 2.11
27 O 0.9962 0.9962 0.3077  1 Li 1.78
28 O 0.9966 0.9966 0.8146  1 Li 1.80

***

Version 2
The following is a DFT calculation (GGA+U) of a relaxed structure of Li4Fe5Sn3O16.

Crystal system = triclinic
Calculated volume = 313.4 Å³ per cell
Total magnetic moment = 0.786 μB/atom
SG = P1 (1)

Unit cell a=6.1014 b=6.1054 c=9.6981 alpha=90.20 beta=90.19 gamma=119.84
Closest atoms and distances in Å follow each position.
Fractional coordinates of all 28 atoms:
1 Li 0.0000 0.0000 0.0000  3 O 1.80-1.99
2 Li 0.0108 0.9957 0.4917  3 O 1.79-1.96
3 Li 0.3052 0.6790 0.3885  4 O 1.97-2.10
4 Li 0.6526 0.3462 0.8986  4 O 2.01-2.05
5 Fe 0.1593 0.8445 0.7198  6 O 2.00-2.14
6 Fe 0.3290 0.1824 0.2138  6 O 1.94-2.01
7 Fe 0.3305 0.6916 0.9949  6 O 2.04-2.16
8 Fe 0.6453 0.3463 0.4882  6 O 2.06-2.14
9 Fe 0.8127 0.6724 0.2172  6 O 2.02-2.18
10 Sn 0.1543 0.3514 0.7145  6 O 2.06-2.12
11 Sn 0.6481 0.8416 0.7112  6 O 2.06-2.11
12 Sn 0.8242 0.1876 0.2135  6 O 2.08-2.13
13 O 0.0055 0.0162 0.3079  1 Li 1.79, 1 Fe 1.94
14 O 0.0274 0.5381 0.8469  2 Fe 2.05-2.15, 1 Li 2.05, 1 Sn 2.10
15 O 0.1654 0.3373 0.0996  2 Fe 2.01-2.14, 1 Li 2.03, 1 Sn 2.13
16 O 0.1688 0.8599 0.1061  1 Li 1.93, 2 Fe 2.00-2.05
17 O 0.3127 0.6814 0.5971  1 Li 2.02, 1 Fe 2.05, 2 Sn 2.09
18 O 0.3171 0.1746 0.6005  1 Li 1.94, 2 Fe 2.06-2.10, 1 Sn 2.11
19 O 0.4703 0.9778 0.8426  1 Li 2.02, 2 Fe 2.03-2.12, 1 Sn 2.10
20 O 0.4718 0.5317 0.8436  1 Li 2.01, 2 Sn 2.09, 1 Fe 2.16
21 O 0.4874 0.4756 0.3344  3 Fe 1.94-2.13, 1 Li 2.10
22 O 0.4967 0.0516 0.3365  2 Fe 1.98-2.14, 1 Li 2.04, 1 Sn 2.12
23 O 0.6415 0.3458 0.1057  2 Fe 1.96-2.04, 1 Li 2.01, 1 Sn 2.08
24 O 0.6687 0.8499 0.0967  1 Li 1.99, 2 Fe 2.04-2.06, 1 Sn 2.11
25 O 0.8232 0.6811 0.5963  1 Li 1.96, 2 Fe 2.06-2.14, 1 Sn 2.09
26 O 0.8241 0.1713 0.5909  2 Sn 2.11-2.12, 1 Fe 2.12, 1 Li 2.14
27 O 0.9417 0.4982 0.3448  1 Li 1.97, 2 Fe 2.03-2.10, 1 Sn 2.09
28 O 0.9892 0.0105 0.8150  1 Li 1.80, 1 Fe 2.00

***

Which is most stable, and by how much? version 1, by 0.014 eV/atom.

***

Version 1
The following is a DFT calculation (GGA+U) of a relaxed structure of Li4Ti2Fe3Sn3O16.

Crystal system = triclinic
Calculated volume = 317.0 Å³ per cell
Total magnetic moment = 0.500 μB/atom
SG = P1 (1)

Unit cell a=6.1315 b=6.1404 c=9.7100 alpha=89.64 beta=89.74 gamma=60.12
Closest atoms and distances in Å follow each position.
Fractional coordinates of all 28 atoms:
1 Li 0.0000 0.0000 0.0000  2 O 1.80-2.02
2 Li 0.0057 0.9932 0.4870  2 O 1.81-1.98
3 Li 0.3691 0.3111 0.0939  4 O 1.99-2.07
4 Li 0.6859 0.6547 0.5891  4 O 1.99-2.08
5 Ti 0.3701 0.3189 0.4866  3 O 1.82-2.01
6 Ti 0.7211 0.6433 0.0103  3 O 1.84-1.98
7 Fe 0.6763 0.1614 0.7704  6 O 2.00-2.17
8 Fe 0.8539 0.3298 0.2723  6 O 1.98-2.16
9 Fe 0.8539 0.8160 0.2778  6 O 2.03-2.25
10 Sn 0.1883 0.1583 0.7749  6 O 2.08-2.13
11 Sn 0.1898 0.6497 0.7744  6 O 2.08-2.14
12 Sn 0.3657 0.8173 0.2740  6 O 2.04-2.16
13 O 0.0084 0.9943 0.6737  1 Li 1.81, 1 Fe 2.00
14 O 0.0187 0.9947 0.1855  1 Li 1.80, 1 Fe 1.98
15 O 0.0518 0.4743 0.6472  1 Li 2.03, 2 Sn 2.08-2.09
16 O 0.1925 0.1577 0.3946  1 Ti 2.01, 1 Li 2.07, 1 Fe 2.16, 1 Sn 2.16
17 O 0.2059 0.6433 0.4001  1 Ti 1.92, 1 Li 2.05
18 O 0.3381 0.8268 0.8927  1 Li 2.08, 2 Sn 2.08-2.10
19 O 0.3622 0.3167 0.8886  1 Li 1.99, 1 Fe 2.02, 2 Sn 2.09
20 O 0.5002 0.0317 0.6445  1 Fe 2.04, 1 Li 2.08, 1 Sn 2.09, 1 Ti 2.16
21 O 0.5006 0.4651 0.6439  1 Fe 2.03, 1 Li 2.06, 1 Sn 2.09, 1 Ti 2.13
22 O 0.5395 0.9400 0.1311  1 Ti 1.98, 1 Li 2.01, 1 Sn 2.10, 1 Fe 2.21
23 O 0.5507 0.5019 0.1425  1 Li 2.04, 1 Fe 2.05, 1 Ti 2.09, 1 Sn 2.12
24 O 0.6719 0.1743 0.3974  1 Ti 1.82, 1 Li 1.98
25 O 0.6974 0.6430 0.3843  1 Li 1.99, 2 Fe 2.00-2.03, 1 Sn 2.07
26 O 0.8474 0.3234 0.8910  1 Li 2.02, 1 Ti 2.07, 1 Fe 2.13, 1 Sn 2.13
27 O 0.8507 0.8212 0.8941  1 Ti 1.98, 1 Li 2.03, 1 Sn 2.14, 1 Fe 2.17
28 O 0.9867 0.4918 0.1314  1 Ti 1.84

***

Version 2
The following is a DFT calculation (GGA+U) of a relaxed structure of Li4Ti2Fe3Sn3O16.

Crystal system = triclinic
Calculated volume = 316.9 Å³ per cell
Total magnetic moment = 0.500 μB/atom
SG = P1 (1)

Unit cell a=6.1198 b=6.1457 c=9.7155 alpha=90.52 beta=90.01 gamma=119.85
Closest atoms and distances in Å follow each position.
Fractional coordinates of all 28 atoms:
1 Li 0.0000 0.0000 0.0000  3 O 1.81-2.02
2 Li 0.0016 0.0042 0.4886  2 O 1.82-1.99
3 Li 0.3422 0.6842 0.5896  4 O 1.98-2.07
4 Li 0.6803 0.3613 0.0968  4 O 2.00-2.07
5 Ti 0.3588 0.7182 0.0055  5 O 1.88-2.09
6 Ti 0.6842 0.3705 0.4873  3 O 1.83-1.99
7 Fe 0.1864 0.8505 0.2728  6 O 2.01-2.23
8 Fe 0.6634 0.8504 0.2729  6 O 2.01-2.22
9 Fe 0.8386 0.6750 0.7702  6 O 2.01-2.19
10 Sn 0.1802 0.3617 0.2752  6 O 2.04-2.16
11 Sn 0.3489 0.1893 0.7745  6 O 2.06-2.16
12 Sn 0.8395 0.1887 0.7748  6 O 2.06-2.16
13 O 0.0041 0.0086 0.6758  1 Li 1.82, 1 Fe 2.01
14 O 0.0065 0.0140 0.1864  1 Li 1.81, 2 Fe 2.01
15 O 0.0546 0.5453 0.1409  1 Li 2.03, 1 Fe 2.06, 1 Ti 2.09, 1 Sn 2.11
16 O 0.1708 0.3432 0.8937  2 Sn 2.10, 1 Li 2.11, 1 Ti 2.27
17 O 0.1808 0.8516 0.8954  1 Ti 1.98, 1 Li 2.02, 1 Sn 2.16, 1 Fe 2.18
18 O 0.3456 0.6917 0.3864  1 Li 1.98, 2 Fe 2.02, 1 Sn 2.05
19 O 0.3495 0.1902 0.3950  1 Ti 1.99, 1 Li 2.07, 1 Fe 2.15, 1 Sn 2.16
20 O 0.4897 0.5449 0.1410  1 Li 2.03, 1 Fe 2.07, 1 Ti 2.09, 1 Sn 2.11
21 O 0.4901 0.9809 0.1355  1 Ti 1.88, 1 Li 2.07
22 O 0.5246 0.0484 0.6469  1 Li 2.01, 2 Sn 2.08-2.09
23 O 0.5293 0.4948 0.6414  1 Li 2.06, 1 Fe 2.06, 1 Sn 2.10, 1 Ti 2.10
24 O 0.6708 0.8512 0.8955  1 Ti 1.98, 1 Li 2.02, 1 Sn 2.16, 1 Fe 2.19
25 O 0.6792 0.3599 0.8907  1 Li 2.00, 1 Fe 2.06, 2 Sn 2.08
26 O 0.8342 0.6694 0.3959  1 Ti 1.83, 1 Li 1.99
27 O 0.8402 0.1905 0.3951  1 Ti 1.99, 1 Li 2.06, 1 Sn 2.15, 1 Fe 2.16
28 O 0.9648 0.4960 0.6422  1 Fe 2.04, 1 Li 2.07, 1 Sn 2.10, 1 Ti 2.11

***

Which is most stable, and by how much? version 1, by 0.016 eV/atom.